(1)
The following is a PBE calculation of a geometry-optimized Rb2InGaCl6 structure, from the Materials Project database.

abc: 7.651 7.651 7.651
angles: 60.00 60.00 60.00
Sites, in units of the cell vectors:
Rb (0.250, 0.250, 0.250)
Rb (0.750, 0.750, 0.750)
In (0.000, 0.000, 0.000)
Ga (0.500, 0.500, 0.500)
Cl (0.236, 0.236, 0.764)
Cl (0.236, 0.764, 0.236)
Cl (0.236, 0.764, 0.764)
Cl (0.764, 0.236, 0.236)
Cl (0.764, 0.236, 0.764)
Cl (0.764, 0.764, 0.236)

Properties
* spin magnetization: 0.0 μB/f.u.
* crystal system: cubic
* symmetry: Fm-3m (225)
* ρ: 2.98 g/cm3
* E_form: -1.76 eV/atom

---

(2)
The following is a PBE calculation of a geometry-optimized MgSi2 structure, from the Materials Project database.

abc: 4.771 5.934 7.696
angles: 70.84 87.11 89.44
Sites, in units of the cell vectors:
Mg (0.000, 0.000, 0.000)
Mg (0.010, 0.989, 0.629)
Mg (0.064, 0.380, 0.246)
Mg (0.505, 0.664, 0.668)
Si (0.018, 0.460, 0.588)
Si (0.147, 0.823, 0.345)
Si (0.509, 0.029, 0.825)
Si (0.516, 0.315, 0.010)
Si (0.545, 0.329, 0.484)
Si (0.547, 0.670, 0.153)
Si (0.622, 0.014, 0.314)
Si (0.971, 0.528, 0.884)

Properties
* offset from the most stable computed form: 160 meV/atom
* spin magnetization: 0.0 μB/f.u.
* crystal system: triclinic
* symmetry: P1 (1)
* ρ: 2.60 g/cm3
* E_form: 0.24 eV/atom

---

(3)
The following is a PBE calculation of a geometry-optimized Lu3InS6 structure, from the Materials Project database.

abc: 13.238 16.422 3.796
angles: 90.00 90.00 90.00
Sites, in units of the cell vectors:
Lu (0.035, 0.224, 0.247)
Lu (0.190, 0.644, 0.248)
Lu (0.247, 0.389, 0.236)
Lu (0.253, 0.889, 0.764)
Lu (0.310, 0.144, 0.752)
Lu (0.465, 0.724, 0.753)
Lu (0.535, 0.276, 0.753)
Lu (0.690, 0.856, 0.752)
Lu (0.747, 0.111, 0.764)
Lu (0.753, 0.611, 0.236)
Lu (0.810, 0.356, 0.248)
Lu (0.965, 0.776, 0.247)
In (0.000, 0.000, 0.874)
In (0.000, 0.500, 0.747)
In (0.500, 0.000, 0.253)
In (0.500, 0.500, 0.126)
S (0.021, 0.393, 0.246)
S (0.103, 0.906, 0.269)
S (0.109, 0.118, 0.749)
S (0.116, 0.743, 0.750)
S (0.179, 0.284, 0.740)
S (0.195, 0.520, 0.747)
S (0.305, 0.020, 0.253)
S (0.321, 0.784, 0.260)
S (0.384, 0.243, 0.250)
S (0.391, 0.618, 0.251)
S (0.397, 0.406, 0.731)
S (0.479, 0.893, 0.754)
S (0.521, 0.107, 0.754)
S (0.603, 0.594, 0.731)
S (0.609, 0.382, 0.251)
S (0.616, 0.757, 0.250)
S (0.679, 0.216, 0.260)
S (0.695, 0.980, 0.253)
S (0.805, 0.480, 0.747)
S (0.821, 0.716, 0.740)
S (0.884, 0.257, 0.750)
S (0.891, 0.882, 0.749)
S (0.897, 0.094, 0.269)
S (0.979, 0.607, 0.246)

Properties
* spin magnetization: 0.0 μB/f.u.
* crystal system: orthorhombic
* symmetry: P2_12_12 (18)
* ρ: 6.70 g/cm3
* E_form: -1.92 eV/atom

---

(4)
The following is a PBE calculation of a geometry-optimized SmAs2Pd2 structure, from the Materials Project database.

abc: 4.276 4.276 10.538
angles: 90.00 90.00 90.00
Sites, in units of the cell vectors:
Sm (0.000, 0.000, 0.000)
Sm (0.500, 0.500, 0.500)
As (0.000, 0.000, 0.381)
As (0.000, 0.000, 0.619)
As (0.500, 0.500, 0.119)
As (0.500, 0.500, 0.881)
Pd (0.000, 0.500, 0.250)
Pd (0.000, 0.500, 0.750)
Pd (0.500, 0.000, 0.250)
Pd (0.500, 0.000, 0.750)

Properties
* spin magnetization: 0.0 μB/f.u.
* crystal system: tetragonal
* symmetry: I4/mmm (139)
* ρ: 8.84 g/cm3
* E_form: -0.83 eV/atom

---

(5)
The following is a PBE calculation of a geometry-optimized HoNiB4 structure, from the Materials Project database.

abc: 6.802 6.802 6.802
angles: 112.96 112.96 102.69
Sites, in units of the cell vectors:
Ho (0.203, 0.203, 0.000)
Ho (0.250, 0.750, 0.500)
Ho (0.750, 0.250, 0.500)
Ho (0.797, 0.797, 0.000)
Ni (0.271, 0.500, 0.771)
Ni (0.500, 0.271, 0.771)
Ni (0.500, 0.729, 0.229)
Ni (0.729, 0.500, 0.229)
B (0.112, 0.275, 0.387)
B (0.112, 0.725, 0.836)
B (0.114, 0.114, 0.533)
B (0.114, 0.581, 0.000)
B (0.275, 0.112, 0.387)
B (0.275, 0.888, 0.164)
B (0.419, 0.419, 0.533)
B (0.419, 0.886, 0.000)
B (0.581, 0.114, 0.000)
B (0.581, 0.581, 0.467)
B (0.725, 0.112, 0.836)
B (0.725, 0.888, 0.613)
B (0.886, 0.419, 0.000)
B (0.886, 0.886, 0.467)
B (0.888, 0.275, 0.164)
B (0.888, 0.725, 0.613)

Properties
* crystal system: tetragonal
* symmetry: I4/mmm (139)
* ρ: 7.39 g/cm3
* E_form: -0.58 eV/atom

---

(6)
The following is a PBE calculation of a geometry-optimized InS2 structure, from the Materials Project database.

abc: 5.675 5.675 5.675
angles: 60.00 60.00 60.00
Sites, in units of the cell vectors:
In (0.125, 0.125, 0.125)
In (0.875, 0.875, 0.875)
S (0.000, 0.500, 0.500)
S (0.500, 0.000, 0.500)
S (0.500, 0.500, 0.000)
S (0.500, 0.500, 0.500)

Properties
* spin magnetization: 0.0 μB/f.u.
* crystal system: cubic
* symmetry: Fd-3m (227)
* ρ: 4.60 g/cm3
* E_form: 0.17 eV/atom

---

(7)
The following is a PBE calculation of a geometry-optimized DyTe2 structure, from the Materials Project database.

abc: 4.440 4.440 8.887
angles: 90.00 90.00 90.00
Sites, in units of the cell vectors:
Dy (0.250, 0.250, 0.229)
Dy (0.750, 0.750, 0.771)
Te (0.250, 0.250, 0.871)
Te (0.250, 0.750, 0.500)
Te (0.750, 0.250, 0.500)
Te (0.750, 0.750, 0.129)

Properties
* crystal system: tetragonal
* symmetry: P4/nmm (129)
* ρ: 7.92 g/cm3
* E_form: -1.43 eV/atom

---

(8)
The following is a PBE calculation of a geometry-optimized Pr12Si5Se28 structure, from the Materials Project database.

abc: 10.692 10.692 24.413
angles: 90.00 90.00 120.00
Sites, in units of the cell vectors:
Pr (0.011, 0.453, 0.118)
Pr (0.019, 0.461, 0.878)
Pr (0.027, 0.464, 0.376)
Pr (0.034, 0.469, 0.632)
Pr (0.304, 0.208, 0.244)
Pr (0.308, 0.203, 0.500)
Pr (0.315, 0.209, 0.000)
Pr (0.317, 0.203, 0.759)
Pr (0.435, 0.966, 0.632)
Pr (0.437, 0.973, 0.376)
Pr (0.442, 0.981, 0.878)
Pr (0.442, 0.989, 0.118)
Pr (0.531, 0.565, 0.632)
Pr (0.536, 0.563, 0.376)
Pr (0.539, 0.558, 0.878)
Pr (0.547, 0.558, 0.118)
Pr (0.791, 0.107, 0.000)
Pr (0.792, 0.096, 0.244)
Pr (0.797, 0.104, 0.500)
Pr (0.797, 0.113, 0.759)
Pr (0.887, 0.683, 0.759)
Pr (0.893, 0.685, 0.000)
Pr (0.896, 0.692, 0.500)
Pr (0.904, 0.696, 0.244)
Si (0.000, 0.000, 0.145)
Si (0.000, 0.000, 0.394)
Si (0.000, 0.000, 0.648)
Si (0.000, 0.000, 0.898)
Si (0.333, 0.667, 0.022)
Si (0.333, 0.667, 0.271)
Si (0.333, 0.667, 0.524)
Si (0.333, 0.667, 0.776)
Si (0.667, 0.333, 0.307)
Si (0.667, 0.333, 0.560)
Se (0.000, 0.000, 0.054)
Se (0.000, 0.000, 0.303)
Se (0.000, 0.000, 0.554)
Se (0.000, 0.000, 0.805)
Se (0.076, 0.227, 0.183)
Se (0.080, 0.226, 0.432)
Se (0.082, 0.226, 0.935)
Se (0.085, 0.227, 0.684)
Se (0.141, 0.915, 0.684)
Se (0.145, 0.918, 0.935)
Se (0.146, 0.920, 0.432)
Se (0.151, 0.924, 0.183)
Se (0.188, 0.747, 0.060)
Se (0.188, 0.748, 0.309)
Se (0.188, 0.749, 0.560)
Se (0.189, 0.750, 0.811)
Se (0.250, 0.439, 0.811)
Se (0.251, 0.439, 0.560)
Se (0.252, 0.440, 0.309)
Se (0.253, 0.441, 0.060)
Se (0.333, 0.667, 0.179)
Se (0.333, 0.667, 0.431)
Se (0.333, 0.667, 0.682)
Se (0.333, 0.667, 0.930)
Se (0.407, 0.245, 0.124)
Se (0.410, 0.240, 0.872)
Se (0.433, 0.248, 0.366)
Se (0.440, 0.248, 0.611)
Se (0.500, 0.076, 0.997)
Se (0.504, 0.075, 0.743)
Se (0.511, 0.090, 0.498)
Se (0.515, 0.103, 0.256)
Se (0.559, 0.812, 0.060)
Se (0.560, 0.812, 0.309)
Se (0.561, 0.811, 0.811)
Se (0.561, 0.812, 0.560)
Se (0.571, 0.496, 0.743)
Se (0.576, 0.500, 0.997)
Se (0.580, 0.489, 0.498)
Se (0.588, 0.485, 0.256)
Se (0.752, 0.185, 0.366)
Se (0.752, 0.192, 0.611)
Se (0.755, 0.163, 0.124)
Se (0.760, 0.170, 0.872)
Se (0.773, 0.849, 0.183)
Se (0.773, 0.859, 0.684)
Se (0.774, 0.854, 0.432)
Se (0.774, 0.855, 0.935)
Se (0.808, 0.560, 0.611)
Se (0.815, 0.567, 0.366)
Se (0.830, 0.590, 0.872)
Se (0.837, 0.593, 0.124)
Se (0.897, 0.412, 0.256)
Se (0.910, 0.420, 0.498)
Se (0.924, 0.424, 0.997)
Se (0.925, 0.429, 0.743)

Properties
* offset from the most stable computed form: 16 meV/atom
* spin magnetization: 0.0 μB/f.u.
* crystal system: trigonal
* symmetry: P3 (143)
* ρ: 5.55 g/cm3
* E_form: -1.68 eV/atom

---

(9)
The following is a PBE calculation of a geometry-optimized DyCu2Ge2 structure, from the Materials Project database.

abc: 4.049 4.049 10.335
angles: 90.00 90.00 90.00
Sites, in units of the cell vectors:
Dy (0.000, 0.000, 0.000)
Dy (0.500, 0.500, 0.500)
Cu (0.000, 0.500, 0.250)
Cu (0.000, 0.500, 0.750)
Cu (0.500, 0.000, 0.250)
Cu (0.500, 0.000, 0.750)
Ge (0.000, 0.000, 0.381)
Ge (0.000, 0.000, 0.619)
Ge (0.500, 0.500, 0.119)
Ge (0.500, 0.500, 0.881)

Properties
* crystal system: tetragonal
* symmetry: I4/mmm (139)
* ρ: 8.52 g/cm3
* E_form: -0.50 eV/atom

---

(10)
The following is a PBE calculation of a geometry-optimized Te4W3S2 structure, from the Materials Project database.

abc: 3.424 3.424 31.698
angles: 90.00 90.00 120.00
Sites, in units of the cell vectors:
Te (0.000, 0.000, 0.172)
Te (0.000, 0.000, 0.290)
Te (0.000, 0.000, 0.710)
Te (0.000, 0.000, 0.828)
W (0.000, 0.000, 0.000)
W (0.667, 0.333, 0.231)
W (0.667, 0.333, 0.769)
S (0.667, 0.333, 0.047)
S (0.667, 0.333, 0.953)

Properties
* spin magnetization: 0.0 μB/f.u.
* crystal system: hexagonal
* symmetry: P-6m2 (187)
* ρ: 5.81 g/cm3
* E_form: -0.36 eV/atom

---

(11)
The following is a PBE calculation of a geometry-optimized SbSBr3F6 structure, from the Materials Project database.

abc: 8.363 9.812 12.696
angles: 90.00 96.72 90.00
Sites, in units of the cell vectors:
Sb (0.205, 0.228, 0.061)
Sb (0.205, 0.272, 0.561)
Sb (0.795, 0.728, 0.439)
Sb (0.795, 0.772, 0.939)
S (0.207, 0.697, 0.713)
S (0.207, 0.803, 0.213)
S (0.793, 0.197, 0.787)
S (0.793, 0.303, 0.287)
Br (0.207, 0.596, 0.275)
Br (0.207, 0.904, 0.775)
Br (0.263, 0.566, 0.852)
Br (0.263, 0.934, 0.352)
Br (0.422, 0.689, 0.631)
Br (0.422, 0.811, 0.131)
Br (0.578, 0.189, 0.869)
Br (0.578, 0.311, 0.369)
Br (0.737, 0.066, 0.648)
Br (0.737, 0.434, 0.148)
Br (0.793, 0.096, 0.225)
Br (0.793, 0.404, 0.725)
F (0.000, 0.222, 0.487)
F (0.000, 0.278, 0.987)
F (0.000, 0.722, 0.013)
F (0.000, 0.778, 0.513)
F (0.122, 0.052, 0.094)
F (0.122, 0.448, 0.594)
F (0.140, 0.200, 0.691)
F (0.140, 0.300, 0.191)
F (0.270, 0.156, 0.931)
F (0.270, 0.344, 0.431)
F (0.292, 0.097, 0.528)
F (0.292, 0.403, 0.028)
F (0.411, 0.179, 0.133)
F (0.411, 0.321, 0.633)
F (0.589, 0.679, 0.367)
F (0.589, 0.821, 0.867)
F (0.708, 0.597, 0.972)
F (0.708, 0.903, 0.472)
F (0.730, 0.656, 0.569)
F (0.730, 0.844, 0.069)
F (0.860, 0.700, 0.809)
F (0.860, 0.800, 0.309)
F (0.878, 0.552, 0.406)
F (0.878, 0.948, 0.906)

Properties
* spin magnetization: 0.0 μB/f.u.
* crystal system: monoclinic
* symmetry: P2_1/c (14)
* ρ: 3.26 g/cm3
* E_form: -1.72 eV/atom

---

(12)
The following is a PBE calculation of a geometry-optimized CrAgSnS4 structure, from the Materials Project database.

abc: 7.457 7.457 7.457
angles: 120.88 118.94 90.16
Sites, in units of the cell vectors:
Cr (0.500, 0.000, 0.000)
Cr (0.500, 0.500, 0.500)
Ag (0.115, 0.365, 0.750)
Ag (0.885, 0.635, 0.250)
Sn (0.000, 0.000, 0.000)
Sn (0.500, 0.000, 0.500)
S (0.270, 0.260, 0.490)
S (0.270, 0.780, 0.010)
S (0.282, 0.245, 0.037)
S (0.292, 0.755, 0.537)
S (0.708, 0.245, 0.463)
S (0.718, 0.755, 0.963)
S (0.730, 0.220, 0.990)
S (0.730, 0.740, 0.510)

Properties
* spin magnetization: 3.0 μB/f.u.
* crystal system: orthorhombic
* symmetry: Imma (74)
* ρ: 4.60 g/cm3
* E_form: -0.76 eV/atom

---

(13)
The following is a PBE calculation of a geometry-optimized PrN2Cl5 structure, from the Materials Project database.

abc: 9.963 8.706 10.203
angles: 90.00 90.00 90.00
Sites, in units of the cell vectors:
Pr (0.041, 0.250, 0.052)
Pr (0.459, 0.750, 0.552)
Pr (0.541, 0.250, 0.448)
Pr (0.959, 0.750, 0.948)
N (0.095, 0.097, 0.437)
N (0.095, 0.403, 0.437)
N (0.405, 0.597, 0.937)
N (0.405, 0.903, 0.937)
N (0.595, 0.097, 0.063)
N (0.595, 0.403, 0.063)
N (0.905, 0.597, 0.563)
N (0.905, 0.903, 0.563)
Cl (0.056, 0.250, 0.500)
Cl (0.072, 0.554, 0.142)
Cl (0.072, 0.946, 0.142)
Cl (0.237, 0.750, 0.411)
Cl (0.238, 0.750, 0.771)
Cl (0.262, 0.250, 0.271)
Cl (0.263, 0.250, 0.911)
Cl (0.428, 0.054, 0.642)
Cl (0.428, 0.446, 0.642)
Cl (0.444, 0.750, 0.000)
Cl (0.556, 0.250, 0.000)
Cl (0.572, 0.554, 0.358)
Cl (0.572, 0.946, 0.358)
Cl (0.737, 0.750, 0.089)
Cl (0.738, 0.750, 0.729)
Cl (0.762, 0.250, 0.229)
Cl (0.763, 0.250, 0.589)
Cl (0.928, 0.054, 0.858)
Cl (0.928, 0.446, 0.858)
Cl (0.944, 0.750, 0.500)

Properties
* spin magnetization: 1.0 μB/f.u.
* crystal system: orthorhombic
* symmetry: Pnma (62)
* ρ: 2.60 g/cm3
* E_form: -0.48 eV/atom

---

(14)
The following is a PBE calculation of a geometry-optimized Ta2CrSi6 structure, from the Materials Project database.

abc: 4.753 4.753 6.511
angles: 90.00 90.00 121.20
Sites, in units of the cell vectors:
Ta (0.000, 0.500, 0.164)
Ta (0.500, 0.000, 0.836)
Cr (0.000, 0.000, 0.500)
Si (0.178, 0.331, 0.825)
Si (0.331, 0.178, 0.175)
Si (0.341, 0.659, 0.500)
Si (0.659, 0.341, 0.500)
Si (0.669, 0.822, 0.175)
Si (0.822, 0.669, 0.825)

Properties
* spin magnetization: 0.0 μB/f.u.
* crystal system: orthorhombic
* symmetry: C222 (21)
* ρ: 7.69 g/cm3
* E_form: -0.33 eV/atom